Entry 1:
A relaxed Na3FeBPO7 crystal, computed with PBE+U.

CIF file:
```
data_Na3FeBPO7
_chemical_formula_sum 'Na6 Fe2 B2 P2 O14'
_cell_length_a 5.2447
_cell_length_b 6.6957
_cell_length_c 8.9431
_cell_angle_alpha 90.00
_cell_angle_beta 90.94
_cell_angle_gamma 90.00
_space_group_name_H-M_alt 'P 1 21/m 1'
_space_group_IT_number 11
loop_
_space_group_symop_operation_xyz
'x,y,z'
'-x,-y,-z'
'-x,y+1/2,-z'
'x,-y+1/2,z'
loop_
_atom_site_label
_atom_site_type_symbol
_atom_site_fract_x
_atom_site_fract_y
_atom_site_fract_z
Na1 Na 0.2432 0.2500 0.0755
Na2 Na 0.2501 0.5019 0.7478
Fe1 Fe 0.2217 0.7500 0.3384
B1 B 0.2634 0.7500 0.0653
P1 P 0.2891 0.2500 0.4229
O1 O 0.0270 0.7500 0.1374
O2 O 0.1385 0.2500 0.5703
O3 O 0.2227 0.0642 0.3255
O4 O 0.2939 0.7500 0.9164
O5 O 0.4175 0.7500 0.5385
O6 O 0.4675 0.7500 0.1709
```

total moment = 5.00 μB per formula unit
E_form = -2.4209 eV per atom



Entry 2:
A relaxed Fe5O7F3 crystal, computed with PBE+U.

CIF file:
```
data_Fe5O7F3
_chemical_formula_sum 'Fe10 O14 F6'
_cell_length_a 4.6551
_cell_length_b 4.6634
_cell_length_c 15.2065
_cell_angle_alpha 90.00
_cell_angle_beta 90.03
_cell_angle_gamma 91.48
_space_group_name_H-M_alt 'P -1'
_space_group_IT_number 2
loop_
_space_group_symop_operation_xyz
'x,y,z'
'-x,-y,-z'
loop_
_atom_site_label
_atom_site_type_symbol
_atom_site_fract_x
_atom_site_fract_y
_atom_site_fract_z
Fe1 Fe 0.0000 0.0000 0.0000
Fe2 Fe 0.0134 0.9700 0.2065
Fe3 Fe 0.0203 0.9788 0.4013
Fe4 Fe 0.4797 0.5124 0.2999
Fe5 Fe 0.4835 0.4676 0.9053
Fe6 Fe 0.5000 0.5000 0.5000
O1 O 0.1755 0.1821 0.8998
O2 O 0.1914 0.2059 0.6950
O3 O 0.1937 0.1924 0.4998
O4 O 0.1996 0.1860 0.3030
O5 O 0.2996 0.6989 0.9978
O6 O 0.3137 0.6804 0.4043
O7 O 0.3211 0.6922 0.1980
F1 F 0.2097 0.2030 0.1039
F2 F 0.2932 0.6974 0.7999
F3 F 0.3004 0.7031 0.6014
```

total moment = 23.00 μB per formula unit
E_form = -1.7268 eV per atom